Below is a geometry-optimized Li3MnP2O9 structure, with properties calculated at the GGA+U level.

**Crystal system**: triclinic
**Magnetization**: 4.0 Bohr magnetons per cell
**Formation energy**: -2.40 eV/atom

Cell and atoms, written as POSCAR:
```
Li3MnP2O9
1.0
6.866 0.000 0.000
0.272 7.116 0.000
3.423 -0.068 7.119
Li Mn P O
6 2 4 18
Direct
0.000 0.000 0.000
0.088 0.266 0.287
0.230 0.527 0.585
0.472 0.465 0.064
0.688 0.068 0.525
0.848 0.770 0.792
0.088 0.768 0.287
0.584 0.764 0.295
0.197 0.055 0.542
0.474 0.005 0.998
0.706 0.527 0.587
0.965 0.476 0.042
0.045 0.571 0.851
0.080 0.002 0.415
0.082 0.963 0.733
0.096 0.537 0.155
0.198 0.269 0.539
0.264 0.890 0.051
0.325 0.667 0.318
0.411 0.199 0.091
0.441 0.984 0.450
0.538 0.623 0.524
0.599 0.002 0.785
0.602 0.528 0.801
0.634 0.891 0.062
0.717 0.538 0.153
0.773 0.333 0.494
0.843 0.865 0.267
0.908 0.655 0.530
0.980 0.264 0.047
```